Entry 1:
This record from the Materials Project database describes a relaxed structure of Os4C12SO12. The functional is PBE-GGA.

Lattice parameters (Å, degrees): 8.515 15.256 16.670 104.24 90.04 106.18
Fractional positions:
Os (0.786, 0.138, 0.163)
Os (0.139, 0.213, 0.157)
Os (0.074, 0.698, 0.895)
Os (0.032, 0.685, 0.723)
Os (0.377, 0.302, 0.604)
Os (0.651, 0.683, 0.223)
Os (0.927, 0.302, 0.106)
Os (0.862, 0.788, 0.843)
Os (0.073, 0.211, 0.655)
Os (0.214, 0.862, 0.837)
Os (0.927, 0.788, 0.343)
Os (0.622, 0.697, 0.394)
Os (0.346, 0.316, 0.776)
Os (0.647, 0.861, 0.337)
Os (0.968, 0.316, 0.278)
Os (0.352, 0.138, 0.662)
C (0.844, 0.621, 0.647)
C (0.222, 0.380, 0.853)
C (0.503, 0.567, 0.233)
C (0.081, 0.909, 0.385)
C (0.936, 0.431, 0.267)
C (0.926, 0.270, 0.717)
C (0.394, 0.884, 0.769)
C (0.606, 0.114, 0.232)
C (0.356, 0.864, 0.927)
C (0.907, 0.251, 0.989)
C (0.493, 0.432, 0.765)
C (0.773, 0.618, 0.147)
C (0.070, 0.419, 0.096)
C (0.811, 0.311, 0.359)
C (0.091, 0.748, 0.012)
C (0.778, 0.743, 0.936)
C (0.827, 0.908, 0.887)
C (0.508, 0.865, 0.427)
C (0.766, 0.990, 0.385)
C (0.608, 0.347, 0.600)
C (0.065, 0.569, 0.734)
C (0.965, 0.745, 0.438)
C (0.656, 0.729, 0.781)
C (0.177, 0.092, 0.115)
C (0.742, 0.347, 0.100)
C (0.653, 0.747, 0.511)
C (0.260, 0.653, 0.900)
C (0.488, 0.883, 0.270)
C (0.780, 0.010, 0.115)
C (0.073, 0.727, 0.281)
C (0.509, 0.115, 0.730)
C (0.498, 0.309, 0.856)
C (0.348, 0.419, 0.595)
C (0.155, 0.381, 0.354)
C (0.192, 0.692, 0.643)
C (0.347, 0.251, 0.487)
C (0.652, 0.581, 0.403)
C (0.497, 0.689, 0.142)
C (0.228, 0.010, 0.613)
C (0.221, 0.991, 0.886)
C (0.929, 0.581, 0.902)
C (0.915, 0.091, 0.614)
C (0.645, 0.136, 0.073)
C (0.223, 0.258, 0.064)
C (0.032, 0.255, 0.561)
C (0.345, 0.273, 0.219)
C (0.492, 0.136, 0.572)
C (0.393, 0.650, 0.397)
S (0.833, 0.838, 0.231)
S (0.005, 0.840, 0.731)
S (0.164, 0.162, 0.768)
S (0.996, 0.161, 0.269)
O (0.913, 0.504, 0.268)
O (0.821, 0.016, 0.593)
O (0.629, 0.375, 0.099)
O (0.897, 0.218, 0.918)
O (0.498, 0.102, 0.274)
O (0.838, 0.509, 0.905)
O (0.171, 0.985, 0.408)
O (0.423, 0.877, 0.482)
O (0.669, 0.509, 0.406)
O (0.451, 0.875, 0.982)
O (0.842, 0.068, 0.413)
O (0.087, 0.497, 0.733)
O (0.324, 0.216, 0.416)
O (0.714, 0.720, 0.993)
O (0.160, 0.689, 0.243)
O (0.270, 0.419, 0.400)
O (0.838, 0.306, 0.757)
O (0.142, 0.416, 0.899)
O (0.294, 0.700, 0.597)
O (0.199, 0.018, 0.093)
O (0.157, 0.491, 0.092)
O (0.990, 0.279, 0.505)
O (0.329, 0.491, 0.592)
O (0.592, 0.301, 0.902)
O (0.097, 0.781, 0.083)
O (0.220, 0.068, 0.916)
O (0.470, 0.310, 0.258)
O (0.148, 0.934, 0.584)
O (0.503, 0.894, 0.727)
O (0.410, 0.495, 0.231)
O (0.607, 0.103, 0.771)
O (0.577, 0.125, 0.518)
O (0.810, 0.983, 0.910)
O (0.710, 0.306, 0.406)
O (0.531, 0.693, 0.742)
O (0.588, 0.504, 0.765)
O (0.728, 0.585, 0.601)
O (0.251, 0.621, 0.397)
O (0.402, 0.696, 0.096)
O (0.005, 0.722, 0.494)
O (0.288, 0.281, 0.008)
O (0.851, 0.581, 0.101)
O (0.750, 0.373, 0.601)
O (0.550, 0.124, 0.018)
O (0.390, 0.895, 0.228)
O (0.375, 0.626, 0.900)
O (0.676, 0.780, 0.582)
O (0.780, 0.932, 0.087)

Output
Its space group is P1. The density is 3.73 g cm⁻³. The value obtained for the electronic total energy is -8.20 eV per atom. The corrected total energy (MP2020 scheme) is -985.93 eV per cell. The offset from the most stable computed form comes out at 0.00 eV/f.u.

=====

Entry 2:
This record from the Materials Project database describes a relaxed structure of MgSi. The functional is PBE-GGA.

Lattice parameters (Å, degrees): 5.112 5.112 12.410 71.65 71.65 47.41
Fractional positions:
Mg (0.579, 0.579, 0.926)
Mg (0.078, 0.078, 0.187)
Mg (0.382, 0.382, 0.401)
Mg (0.592, 0.592, 0.563)
Mg (0.823, 0.823, 0.048)
Mg (0.948, 0.948, 0.781)
Si (0.256, 0.256, 0.716)
Si (0.735, 0.735, 0.291)
Si (0.283, 0.283, 0.911)
Si (0.394, 0.394, 0.167)
Si (0.859, 0.859, 0.593)
Si (0.082, 0.082, 0.417)

Output
Its space group is Cm. The density is 2.33 g cm⁻³. The value obtained for the electronic total energy is -3.45 eV per atom. The corrected total energy (MP2020 scheme) is -40.95 eV per cell.

=====

| no. | formation enthalpy at 0 K (eV/atom) |
| --- | --- |
| 1 | -0.94 |
| 2 | 0.10 |